Density functional theory data (PBE) for a geometry-optimized Cs3ErO3 structure.

Output
The calculation puts the density at 5.258 g/cm3. Its uncorrected energy is -35.60 eV/f.u.

a b c (Å): 12.273 7.631 8.320
angles (deg): 90.00 95.51 90.00
Fractional coordinates of all 28 atoms:
Cs (0.421, 0.832, 0.353)
Cs (0.579, 0.168, 0.647)
Cs (0.079, 0.332, 0.647)
Er (0.566, 0.414, 0.158)
O (0.911, 0.948, 0.100)
O (0.685, 0.557, 0.303)
O (0.957, 0.656, 0.755)
Cs (0.192, 0.809, 0.623)
Cs (0.692, 0.691, 0.623)
O (0.457, 0.844, 0.755)
Cs (0.845, 0.379, 0.937)
Cs (0.808, 0.191, 0.377)
O (0.589, 0.448, 0.900)
Cs (0.655, 0.879, 0.063)
O (0.411, 0.552, 0.100)
Er (0.066, 0.086, 0.158)
O (0.815, 0.057, 0.697)
Cs (0.155, 0.621, 0.063)
O (0.543, 0.156, 0.245)
O (0.185, 0.943, 0.303)
Er (0.934, 0.914, 0.842)
O (0.089, 0.052, 0.900)
O (0.043, 0.344, 0.245)
Er (0.434, 0.586, 0.842)
Cs (0.308, 0.309, 0.377)
O (0.315, 0.443, 0.697)
Cs (0.345, 0.121, 0.937)
Cs (0.921, 0.668, 0.353)